1.
The following is a DFT calculation (GGA-PBE) of crystalline Ba2SmNbO6 at its relaxed geometry.

Calculated values
crystal system = cubic
calculated total energy = -7.819 eV per atom
calculated formation energy = -3.396 eV/atom

Unit cell a=8.660 b=8.660 c=8.660 alpha=90.00 beta=90.00 gamma=90.00
Space group Fm-3m (No. 225)
Unique sites:
1 Ba 0.250 0.250 0.250 [8 per cell]
2 Sm 0.000 0.000 0.000 [4 per cell]
3 Nb 0.000 0.000 0.500 [4 per cell]
4 O 0.000 0.000 0.266 [24 per cell]

---

2.
The following is a DFT calculation (GGA-PBE) of crystalline Ba16Tb8Nb5Sn3O48 at its relaxed geometry.

Calculated values
crystal system = tetragonal
calculated total energy = -7.427 eV per atom
calculated formation energy = -3.241 eV/atom

Unit cell a=6.081 b=6.081 c=34.547 alpha=90.00 beta=90.00 gamma=90.00
Space group P4 (No. 75)
Unique sites:
1 Ba 0.000 0.500 0.000 [2 per cell]
2 Ba 0.000 0.500 0.123 [2 per cell]
3 Ba 0.000 0.500 0.249 [2 per cell]
4 Ba 0.000 0.500 0.373 [2 per cell]
5 Ba 0.000 0.500 0.499 [2 per cell]
6 Ba 0.000 0.500 0.624 [2 per cell]
7 Ba 0.000 0.500 0.749 [2 per cell]
8 Ba 0.000 0.500 0.874 [2 per cell]
9 Tb 0.000 0.000 0.061 [1 per cell]
10 Tb 0.000 0.000 0.311 [1 per cell]
11 Tb 0.000 0.000 0.437 [1 per cell]
12 Tb 0.000 0.000 0.811 [1 per cell]
13 Tb 0.500 0.500 0.186 [1 per cell]
14 Tb 0.500 0.500 0.561 [1 per cell]
15 Tb 0.500 0.500 0.687 [1 per cell]
16 Tb 0.500 0.500 0.937 [1 per cell]
17 Nb 0.000 0.000 0.186 [1 per cell]
18 Nb 0.000 0.000 0.686 [1 per cell]
19 Nb 0.000 0.000 0.937 [1 per cell]
20 Nb 0.500 0.500 0.436 [1 per cell]
21 Nb 0.500 0.500 0.812 [1 per cell]
22 Sn 0.000 0.000 0.562 [1 per cell]
23 Sn 0.500 0.500 0.061 [1 per cell]
24 Sn 0.500 0.500 0.311 [1 per cell]
25 O 0.000 0.000 0.127 [1 per cell]
26 O 0.000 0.000 0.244 [1 per cell]
27 O 0.000 0.000 0.374 [1 per cell]
28 O 0.000 0.000 0.502 [1 per cell]
29 O 0.000 0.000 0.626 [1 per cell]
30 O 0.000 0.000 0.745 [1 per cell]
31 O 0.000 0.000 0.877 [1 per cell]
32 O 0.000 0.000 0.995 [1 per cell]
33 O 0.226 0.756 0.687 [4 per cell]
34 O 0.227 0.756 0.186 [4 per cell]
35 O 0.227 0.756 0.936 [4 per cell]
36 O 0.232 0.249 0.562 [4 per cell]
37 O 0.250 0.267 0.061 [4 per cell]
38 O 0.252 0.269 0.312 [4 per cell]
39 O 0.255 0.273 0.811 [4 per cell]
40 O 0.256 0.727 0.436 [4 per cell]
41 O 0.500 0.500 0.001 [1 per cell]
42 O 0.500 0.500 0.122 [1 per cell]
43 O 0.500 0.500 0.251 [1 per cell]
44 O 0.500 0.500 0.376 [1 per cell]
45 O 0.500 0.500 0.494 [1 per cell]
46 O 0.500 0.500 0.625 [1 per cell]
47 O 0.500 0.500 0.753 [1 per cell]
48 O 0.500 0.500 0.871 [1 per cell]

---

3.
The following is a DFT calculation (GGA-PBE) of crystalline BaYNbSnO6 at its relaxed geometry.

Calculated values
crystal system = triclinic
polymorph energy (0 for the lowest one) = 0 meV per atom
calculated total energy = -7.808 eV per atom
calculated formation energy = -3.002 eV/atom

Unit cell a=5.933 b=5.978 c=8.495 alpha=90.43 beta=90.18 gamma=90.60
Space group P-1 (No. 2)
Unique sites:
1 Ba 0.005 0.020 0.249 [2 per cell]
2 Y 0.000 0.500 0.000 [1 per cell]
3 Y 0.500 0.000 0.500 [1 per cell]
4 Nb 0.000 0.500 0.500 [1 per cell]
5 Nb 0.500 0.000 0.000 [1 per cell]
6 Sn 0.495 0.486 0.753 [2 per cell]
7 O 0.092 0.494 0.735 [2 per cell]
8 O 0.196 0.771 0.475 [2 per cell]
9 O 0.225 0.804 0.017 [2 per cell]
10 O 0.268 0.301 0.448 [2 per cell]
11 O 0.305 0.276 0.044 [2 per cell]
12 O 0.446 0.032 0.765 [2 per cell]

---

4.
The following is a DFT calculation (GGA-PBE) of crystalline BaYNbSnO6 at its relaxed geometry.

Calculated values
crystal system = cubic
polymorph energy (0 for the lowest one) = 41 meV per atom
calculated total energy = -7.767 eV per atom
calculated formation energy = -2.961 eV/atom

Unit cell a=8.498 b=8.498 c=8.498 alpha=90.00 beta=90.00 gamma=90.00
Space group F-43m (No. 216)
Unique sites:
1 Ba 0.000 0.000 0.000 [4 per cell]
2 Y 0.250 0.250 0.250 [4 per cell]
3 Nb 0.250 0.250 0.750 [4 per cell]
4 Sn 0.000 0.000 0.500 [4 per cell]
5 O 0.013 0.250 0.750 [24 per cell]

---

5.
The following is a DFT calculation (GGA-PBE) of crystalline BaYNbSnO6 at its relaxed geometry.

Calculated values
crystal system = orthorhombic
polymorph energy (0 for the lowest one) = 0 meV per atom
calculated total energy = -7.808 eV per atom
calculated formation energy = -3.001 eV/atom

Unit cell a=8.436 b=8.442 c=8.490 alpha=90.00 beta=90.00 gamma=90.00
Space group P222 (No. 16)
Unique sites:
1 Ba 0.000 0.000 0.000 [1 per cell]
2 Ba 0.000 0.000 0.500 [1 per cell]
3 Ba 0.000 0.500 0.000 [1 per cell]
4 Ba 0.500 0.500 0.500 [1 per cell]
5 Y 0.255 0.251 0.250 [4 per cell]
6 Nb 0.252 0.248 0.749 [4 per cell]
7 Sn 0.000 0.500 0.500 [1 per cell]
8 Sn 0.500 0.000 0.000 [1 per cell]
9 Sn 0.500 0.000 0.500 [1 per cell]
10 Sn 0.500 0.500 0.000 [1 per cell]
11 O 0.014 0.270 0.779 [4 per cell]
12 O 0.216 0.291 0.515 [4 per cell]
13 O 0.223 0.013 0.726 [4 per cell]
14 O 0.284 0.214 0.986 [4 per cell]
15 O 0.291 0.484 0.788 [4 per cell]
16 O 0.485 0.216 0.702 [4 per cell]

---

6.
The following is a DFT calculation (GGA-PBE) of crystalline Ba2Sr3Nb10O30 at its relaxed geometry.

Calculated values
crystal system = monoclinic
polymorph energy (0 for the lowest one) = 7 meV per atom
calculated total energy = -8.470 eV per atom
calculated formation energy = -3.186 eV/atom

Unit cell a=12.661 b=4.064 c=12.664 alpha=90.00 beta=90.34 gamma=90.00
Space group P2 (No. 3)
Unique sites:
1 Ba 0.169 0.000 0.323 [2 per cell]
2 Sr 0.321 0.981 0.832 [2 per cell]
3 Sr 0.500 0.999 0.500 [1 per cell]
4 Nb 0.000 0.482 0.500 [1 per cell]
5 Nb 0.073 0.483 0.796 [2 per cell]
6 Nb 0.206 0.483 0.072 [2 per cell]
7 Nb 0.289 0.490 0.583 [2 per cell]
8 Nb 0.420 0.492 0.289 [2 per cell]
9 Nb 0.500 0.483 0.000 [1 per cell]
10 O 0.000 0.023 0.500 [1 per cell]
11 O 0.002 0.531 0.344 [2 per cell]
12 O 0.069 0.529 0.148 [2 per cell]
13 O 0.090 0.027 0.790 [2 per cell]
14 O 0.145 0.536 0.932 [2 per cell]
15 O 0.159 0.528 0.495 [2 per cell]
16 O 0.209 0.028 0.086 [2 per cell]
17 O 0.231 0.526 0.728 [2 per cell]
18 O 0.280 0.528 0.222 [2 per cell]
19 O 0.299 0.025 0.584 [2 per cell]
20 O 0.343 0.534 0.994 [2 per cell]
21 O 0.362 0.531 0.435 [2 per cell]
22 O 0.419 0.026 0.300 [2 per cell]
23 O 0.437 0.533 0.635 [2 per cell]
24 O 0.491 0.532 0.841 [2 per cell]
25 O 0.500 0.025 0.000 [1 per cell]

---

7.
The following is a DFT calculation (GGA-PBE) of crystalline BaSrNb4O12 at its relaxed geometry.

Calculated values
crystal system = tetragonal
calculated total energy = -8.435 eV per atom
calculated formation energy = -3.149 eV/atom

Unit cell a=5.709 b=5.709 c=8.071 alpha=90.00 beta=90.00 gamma=90.00
Space group P4/mmm (No. 123)
Unique sites:
1 Ba 0.000 0.000 0.000 [1 per cell]
2 Sr 0.500 0.500 0.500 [1 per cell]
3 Nb 0.000 0.500 0.252 [4 per cell]
4 O 0.000 0.500 0.000 [2 per cell]
5 O 0.000 0.500 0.500 [2 per cell]
6 O 0.252 0.252 0.254 [8 per cell]

---

8.
The following is a DFT calculation (GGA-PBE) of crystalline Ba2Sr3Nb10O30 at its relaxed geometry.

Calculated values
crystal system = triclinic
polymorph energy (0 for the lowest one) = 0 meV per atom
calculated total energy = -8.476 eV per atom
calculated formation energy = -3.193 eV/atom

Unit cell a=4.065 b=12.699 c=12.701 alpha=90.13 beta=90.02 gamma=90.05
Space group P1 (No. 1)
Unique sites:
1 Ba 0.000 0.000 0.000 [1 per cell]
2 Ba 0.001 0.838 0.495 [1 per cell]
3 Sr 0.003 0.169 0.669 [1 per cell]
4 Sr 0.003 0.669 0.169 [1 per cell]
5 Sr 0.014 0.494 0.839 [1 per cell]
6 Nb 0.510 0.880 0.245 [1 per cell]
7 Nb 0.511 0.247 0.880 [1 per cell]
8 Nb 0.511 0.957 0.744 [1 per cell]
9 Nb 0.513 0.743 0.956 [1 per cell]
10 Nb 0.516 0.095 0.456 [1 per cell]
11 Nb 0.516 0.456 0.093 [1 per cell]
12 Nb 0.518 0.587 0.378 [1 per cell]
13 Nb 0.519 0.378 0.588 [1 per cell]
14 Nb 0.522 0.664 0.668 [1 per cell]
15 Nb 0.530 0.172 0.171 [1 per cell]
16 O 0.469 0.507 0.680 [1 per cell]
17 O 0.469 0.657 0.826 [1 per cell]
18 O 0.470 0.303 0.735 [1 per cell]
19 O 0.470 0.605 0.030 [1 per cell]
20 O 0.471 0.026 0.604 [1 per cell]
21 O 0.471 0.735 0.307 [1 per cell]
22 O 0.471 0.806 0.103 [1 per cell]
23 O 0.472 0.102 0.807 [1 per cell]
24 O 0.473 0.164 0.324 [1 per cell]
25 O 0.473 0.324 0.162 [1 per cell]
26 O 0.473 0.672 0.512 [1 per cell]
27 O 0.473 0.821 0.665 [1 per cell]
28 O 0.474 0.162 0.009 [1 per cell]
29 O 0.474 0.229 0.537 [1 per cell]
30 O 0.474 0.536 0.229 [1 per cell]
31 O 0.475 0.010 0.161 [1 per cell]
32 O 0.476 0.456 0.457 [1 per cell]
33 O 0.476 0.887 0.888 [1 per cell]
34 O 0.477 0.396 0.941 [1 per cell]
35 O 0.478 0.947 0.389 [1 per cell]
36 O 0.975 0.083 0.471 [1 per cell]
37 O 0.975 0.369 0.598 [1 per cell]
38 O 0.975 0.470 0.081 [1 per cell]
39 O 0.975 0.597 0.369 [1 per cell]
40 O 0.976 0.748 0.966 [1 per cell]
41 O 0.976 0.870 0.248 [1 per cell]
42 O 0.976 0.966 0.749 [1 per cell]
43 O 0.977 0.250 0.872 [1 per cell]
44 O 0.979 0.665 0.669 [1 per cell]
45 O 0.980 0.161 0.161 [1 per cell]

---

9.
The following is a DFT calculation (GGA-PBE) of crystalline BaSrYNbO6 at its relaxed geometry.

Calculated values
crystal system = triclinic
polymorph energy (0 for the lowest one) = 0 meV per atom
calculated total energy = -8.020 eV per atom
calculated formation energy = -3.446 eV/atom

Unit cell a=5.978 b=5.984 c=8.458 alpha=90.24 beta=90.21 gamma=90.23
Space group P-1 (No. 2)
Unique sites:
1 Ba 0.005 0.021 0.250 [2 per cell]
2 Sr 0.496 0.526 0.251 [2 per cell]
3 Y 0.000 0.500 0.500 [1 per cell]
4 Y 0.500 0.000 0.000 [1 per cell]
5 Nb 0.000 0.500 0.000 [1 per cell]
6 Nb 0.500 0.000 0.500 [1 per cell]
7 O 0.070 0.506 0.765 [2 per cell]
8 O 0.209 0.763 0.032 [2 per cell]
9 O 0.238 0.790 0.469 [2 per cell]
10 O 0.269 0.298 0.035 [2 per cell]
11 O 0.300 0.271 0.466 [2 per cell]
12 O 0.445 0.018 0.736 [2 per cell]

---

10.
The following is a DFT calculation (GGA-PBE) of crystalline BaSrYNbO6 at its relaxed geometry.

Calculated values
crystal system = orthorhombic
polymorph energy (0 for the lowest one) = 2 meV per atom
calculated total energy = -8.018 eV per atom
calculated formation energy = -3.444 eV/atom

Unit cell a=8.458 b=8.464 c=8.467 alpha=90.00 beta=90.00 gamma=90.00
Space group P222 (No. 16)
Unique sites:
1 Ba 0.000 0.000 0.000 [1 per cell]
2 Ba 0.000 0.000 0.500 [1 per cell]
3 Ba 0.500 0.000 0.000 [1 per cell]
4 Ba 0.500 0.500 0.500 [1 per cell]
5 Sr 0.000 0.500 0.000 [1 per cell]
6 Sr 0.000 0.500 0.500 [1 per cell]
7 Sr 0.500 0.000 0.500 [1 per cell]
8 Sr 0.500 0.500 0.000 [1 per cell]
9 Y 0.251 0.253 0.250 [4 per cell]
10 Nb 0.249 0.254 0.749 [4 per cell]
11 O 0.013 0.230 0.727 [4 per cell]
12 O 0.218 0.487 0.713 [4 per cell]
13 O 0.220 0.282 0.986 [4 per cell]
14 O 0.270 0.015 0.772 [4 per cell]
15 O 0.286 0.221 0.514 [4 per cell]
16 O 0.485 0.286 0.783 [4 per cell]

---

11.
The following is a DFT calculation (GGA-PBE) of crystalline BaSrYNbO6 at its relaxed geometry.

Calculated values
crystal system = cubic
polymorph energy (0 for the lowest one) = 25 meV per atom
calculated total energy = -7.995 eV per atom
calculated formation energy = -3.421 eV/atom

Unit cell a=8.505 b=8.505 c=8.505 alpha=90.00 beta=90.00 gamma=90.00
Space group F-43m (No. 216)
Unique sites:
1 Ba 0.000 0.000 0.000 [4 per cell]
2 Sr 0.000 0.000 0.500 [4 per cell]
3 Y 0.250 0.250 0.250 [4 per cell]
4 Nb 0.250 0.250 0.750 [4 per cell]
5 O 0.013 0.250 0.750 [24 per cell]

---

Question: Which value of calculated formation energy does entry 11 give?
Answer: -3.421 eV/atom